(1)
This record from the Materials Project database describes a relaxed SrCeMg14 crystal. The functional is PBE.

Properties
Theoretical density (g cm⁻³): 2.223
Uncorrected energy (eV/atom): -1.783
Symmetry: Amm2, No. 38

Lattice parameters (Å, degrees): 6.6174 6.6174 10.7277 90.00 90.00 115.44
Fractional coordinates of all 16 atoms:
Mg (0.3375, 0.1693, 0.5000)
Mg (0.8307, 0.6625, 0.5000)
Mg (0.3339, 0.6661, 0.0000)
Mg (0.6728, 0.8395, 0.2390)
Mg (0.1605, 0.3272, 0.7610)
Mg (0.6646, 0.3354, 0.7499)
Mg (0.8326, 0.1674, 0.0000)
Mg (0.1607, 0.8393, 0.7562)
Mg (0.1607, 0.8393, 0.2438)
Mg (0.3364, 0.1669, 0.0000)
Mg (0.6728, 0.8395, 0.7610)
Mg (0.1605, 0.3272, 0.2390)
Mg (0.6646, 0.3354, 0.2501)
Mg (0.8331, 0.6636, 0.0000)
Ce (0.8413, 0.1587, 0.5000)
Sr (0.3373, 0.6627, 0.5000)

---

(2)
This record from the Materials Project database describes a relaxed Ti9Zn2O13 crystal. The functional is PBE.

Properties
Theoretical density (g cm⁻³): 5.307
Total energy after the MP2020 corrections (eV per cell): -203.79
Uncorrected energy (eV/atom): -8.119
Symmetry: C2/m, No. 12

Lattice parameters (Å, degrees): 5.1522 5.1522 16.7098 81.03 81.03 33.38
Fractional coordinates of all 24 atoms:
O (0.8685, 0.8685, 0.7706)
O (0.6268, 0.6268, 0.3779)
O (0.7139, 0.7139, 0.0861)
O (0.0000, 0.0000, 0.0000)
O (0.3731, 0.3731, 0.3135)
O (0.2861, 0.2861, 0.9139)
O (0.6269, 0.6269, 0.6865)
O (0.3732, 0.3732, 0.6221)
O (0.5797, 0.5797, 0.8534)
O (0.1228, 0.1228, 0.5486)
O (0.4203, 0.4203, 0.1466)
O (0.1315, 0.1315, 0.2294)
O (0.8772, 0.8772, 0.4514)
Ti (0.9896, 0.9896, 0.6633)
Ti (0.5000, 0.5000, 0.5000)
Ti (0.2362, 0.2362, 0.4252)
Ti (0.0690, 0.0690, 0.1171)
Ti (0.7638, 0.7638, 0.5748)
Ti (0.9310, 0.9310, 0.8829)
Ti (0.6536, 0.6536, 0.9638)
Ti (0.3464, 0.3464, 0.0362)
Ti (0.0104, 0.0104, 0.3367)
Zn (0.2142, 0.2142, 0.7714)
Zn (0.7858, 0.7858, 0.2286)

---

(3)
This record from the Materials Project database describes a relaxed TiCl4 crystal. The functional is PBE.

Properties
Theoretical density (g cm⁻³): 1.556
Total energy after the MP2020 corrections (eV per cell): -102.78
Uncorrected energy (eV/atom): -4.648
Symmetry: P2_1/c, No. 14

Lattice parameters (Å, degrees): 7.1684 10.7404 10.7506 77.95 90.00 90.00
Fractional coordinates of all 20 atoms:
Cl (0.6361, 0.1952, 0.9183)
Cl (0.5752, 0.4150, 0.2071)
Cl (0.8639, 0.1952, 0.4183)
Cl (0.4343, 0.3018, 0.5285)
Cl (0.1361, 0.8048, 0.5817)
Cl (0.5657, 0.6982, 0.4715)
Cl (0.3639, 0.8048, 0.0817)
Cl (0.9343, 0.6982, 0.9715)
Cl (0.9248, 0.4150, 0.7071)
Cl (0.4248, 0.5850, 0.7929)
Cl (0.0690, 0.0930, 0.8097)
Cl (0.5690, 0.9070, 0.6903)
Cl (0.0752, 0.5850, 0.2929)
Cl (0.4310, 0.0930, 0.3097)
Cl (0.9310, 0.9070, 0.1903)
Cl (0.0657, 0.3018, 0.0285)
Ti (0.5766, 0.2511, 0.3664)
Ti (0.9234, 0.2511, 0.8664)
Ti (0.4234, 0.7489, 0.6336)
Ti (0.0766, 0.7489, 0.1336)

---

(4)
This record from the Materials Project database describes a relaxed MgAg4Ru4O12 crystal. The functional is PBE.

Properties
Theoretical density (g cm⁻³): 6.126
Total energy after the MP2020 corrections (eV per cell): -130.84
Uncorrected energy (eV/atom): -5.838
Symmetry: Imm2, No. 44

Lattice parameters (Å, degrees): 7.3970 7.3881 7.3798 60.03 90.00 120.04
Fractional coordinates of all 21 atoms:
Ag (0.9999, 0.9998, 0.0003)
Ag (0.5001, 0.4998, 0.0001)
Ag (0.9997, 0.4998, 0.0001)
Ag (0.9999, 0.9998, 0.5000)
Ru (0.4911, 0.5179, 0.4910)
Ru (0.4915, 0.9831, 0.0254)
Ru (0.0269, 0.5180, 0.4910)
Ru (0.4915, 0.9830, 0.4914)
O (0.5689, 0.7502, 0.5693)
O (0.8258, 0.6517, 0.4242)
O (0.8253, 0.2506, 0.8247)
O (0.1809, 0.3618, 0.5691)
O (0.5691, 0.1381, 0.1810)
O (0.5689, 0.7501, 0.1806)
O (0.1812, 0.7501, 0.1806)
O (0.8253, 0.2506, 0.4247)
O (0.4253, 0.2506, 0.8247)
O (0.4257, 0.8514, 0.8243)
O (0.1813, 0.7502, 0.5692)
O (0.4252, 0.2506, 0.4247)
Mg (0.6261, 0.2522, 0.6239)